Density functional theory data (PBE-GGA) for a geometry-optimized Na6Zr7ZnSi6S6O48 structure.

```
Na6Zr7ZnSi6S6O48
1.0
9.038 0.000 0.000
-0.008 15.700 0.000
-0.014 -0.030 23.418
Na Zr Zn Si S O
18 21 3 18 18 144
Direct
0.000 0.000 0.000
0.000 0.665 0.667
0.004 0.670 0.171
0.008 0.997 0.499
0.136 0.492 0.253
0.172 0.179 0.250
0.492 0.504 0.500
0.494 0.826 0.328
0.496 0.159 0.673
0.496 0.493 0.994
0.498 0.828 0.832
0.501 0.164 0.168
0.630 0.988 0.249
0.672 0.686 0.253
0.806 0.181 0.752
0.849 0.491 0.753
0.996 0.328 0.837
0.997 0.324 0.330
0.000 0.656 0.519
0.001 0.656 0.018
0.001 0.998 0.349
0.005 0.328 0.477
0.483 0.155 0.522
0.484 0.502 0.356
0.486 0.829 0.979
0.488 0.165 0.312
0.489 0.492 0.150
0.490 0.821 0.485
0.493 0.161 0.015
0.493 0.828 0.688
0.500 0.162 0.818
0.503 0.499 0.651
0.508 0.495 0.857
0.989 0.998 0.857
0.994 0.994 0.154
0.995 0.995 0.648
0.996 0.326 0.976
0.996 0.665 0.317
0.998 0.658 0.818
0.490 0.828 0.194
0.987 0.330 0.686
0.996 0.319 0.188
0.140 0.516 0.417
0.201 0.157 0.417
0.289 0.991 0.251
0.290 0.660 0.917
0.346 0.679 0.587
0.347 0.351 0.251
0.348 0.643 0.250
0.349 0.016 0.917
0.349 0.972 0.585
0.353 0.308 0.917
0.643 0.347 0.750
0.643 0.643 0.753
0.701 0.994 0.751
0.703 0.662 0.418
0.785 0.160 0.918
0.849 0.144 0.251
0.851 0.515 0.919
0.851 0.847 0.252
0.139 0.473 0.086
0.139 0.850 0.752
0.141 0.141 0.750
0.141 0.808 0.419
0.142 0.182 0.086
0.205 0.493 0.751
0.205 0.828 0.086
0.284 0.328 0.586
0.641 0.306 0.419
0.641 0.973 0.086
0.642 0.016 0.418
0.643 0.683 0.086
0.708 0.328 0.086
0.786 0.493 0.251
0.787 0.828 0.585
0.851 0.184 0.585
0.851 0.472 0.586
0.851 0.806 0.919
0.062 0.422 0.427
0.068 0.224 0.744
0.070 0.765 0.756
0.071 0.557 0.359
0.071 0.892 0.414
0.073 0.096 0.089
0.074 0.100 0.801
0.075 0.561 0.080
0.076 0.891 0.700
0.078 0.225 0.035
0.078 0.436 0.139
0.078 0.766 0.470
0.097 0.073 0.415
0.098 0.243 0.427
0.104 0.419 0.743
0.106 0.752 0.078
0.107 0.571 0.756
0.110 0.421 0.035
0.110 0.906 0.089
0.111 0.086 0.699
0.111 0.575 0.473
0.112 0.902 0.803
0.116 0.755 0.367
0.117 0.232 0.138
0.165 0.673 0.579
0.167 0.643 0.257
0.168 0.344 0.244
0.169 0.985 0.593
0.171 0.001 0.909
0.173 0.316 0.928
0.180 0.652 0.974
0.182 0.680 0.862
0.183 0.015 0.196
0.185 0.980 0.307
0.189 0.339 0.534
0.191 0.314 0.637
0.294 0.482 0.802
0.296 0.508 0.699
0.296 0.814 0.136
0.298 0.839 0.033
0.301 0.841 0.746
0.302 0.148 0.755
0.303 0.175 0.361
0.304 0.817 0.424
0.305 0.483 0.090
0.306 0.172 0.080
0.311 0.149 0.473
0.319 0.503 0.414
0.376 0.074 0.974
0.377 0.247 0.861
0.378 0.405 0.590
0.380 0.577 0.195
0.382 0.252 0.577
0.382 0.411 0.306
0.383 0.741 0.641
0.384 0.915 0.528
0.387 0.576 0.912
0.390 0.080 0.259
0.393 0.745 0.928
0.402 0.914 0.245
0.418 0.255 0.256
0.420 0.584 0.592
0.421 0.725 0.530
0.423 0.402 0.911
0.424 0.058 0.861
0.424 0.929 0.641
0.425 0.068 0.578
0.425 0.263 0.974
0.425 0.394 0.194
0.427 0.597 0.306
0.428 0.922 0.928
0.431 0.732 0.244
0.570 0.395 0.693
0.570 0.596 0.807
0.570 0.736 0.744
0.572 0.931 0.426
0.573 0.252 0.755
0.575 0.060 0.079
0.577 0.391 0.413
0.578 0.265 0.471
0.578 0.595 0.090
0.578 0.724 0.034
0.579 0.056 0.366
0.581 0.935 0.138
0.600 0.748 0.425
0.601 0.909 0.745
0.606 0.575 0.412
0.607 0.082 0.756
0.609 0.252 0.081
0.610 0.920 0.034
0.612 0.071 0.469
0.612 0.406 0.091
0.617 0.733 0.138
0.618 0.411 0.804
0.619 0.253 0.368
0.619 0.580 0.697
0.670 0.145 0.260
0.674 0.508 0.915
0.674 0.839 0.245
0.684 0.145 0.974
0.687 0.480 0.589
0.688 0.174 0.577
0.689 0.816 0.926
0.692 0.509 0.200
0.693 0.176 0.860
0.695 0.481 0.303
0.696 0.815 0.636
0.696 0.843 0.533
0.799 0.318 0.138
0.799 0.340 0.034
0.804 0.007 0.414
0.805 0.315 0.427
0.805 0.675 0.360
0.807 0.674 0.078
0.807 0.982 0.088
0.812 0.652 0.474
0.815 0.982 0.806
0.816 0.008 0.696
0.826 0.339 0.744
0.826 0.648 0.758
0.874 0.080 0.195
0.875 0.754 0.867
0.877 0.233 0.638
0.878 0.573 0.256
0.880 0.909 0.307
0.883 0.419 0.535
0.883 0.905 0.591
0.884 0.753 0.578
0.885 0.577 0.974
0.886 0.420 0.244
0.892 0.076 0.912
0.892 0.244 0.926
0.916 0.435 0.638
0.916 0.559 0.579
0.917 0.225 0.535
0.917 0.766 0.970
0.919 0.097 0.590
0.920 0.891 0.913
0.921 0.751 0.257
0.923 0.559 0.861
0.928 0.423 0.927
0.928 0.893 0.196
0.930 0.099 0.306
0.930 0.235 0.245
```

Calculated volume in Å³/f.u.: 1107.59
E_tot in eV/atom: -7.27
SG: P1
Formation energy in eV/atom: -2.799